(one)
Compound: BaSrTbSbO6
Source: Materials Project
Functional: GGA-PBE
Structure: optimized geometry

Computed properties:
- total magnetization (μB per cell) = 0.00
- volume (Å³ per atom) = 15.241
- crystal system = cubic
- space group = No. 216

Geometry as extended XYZ:
```
10
Lattice="0.000 -4.240 -4.240 4.240 0.000 -4.240 4.240 -4.240 0.000" Properties=species:S:1:pos:R:3 pbc="T T T"
Tb 4.240 -4.240 -4.240
O 4.240 -4.240 -6.473
O 4.240 -4.240 -2.006
O 2.006 -4.240 -4.240
Ba 6.359 -6.359 -6.359
Sb 0.000 0.000 0.000
Sr 2.120 -2.120 -2.120
O 4.240 -2.006 -4.240
O 6.473 -4.240 -4.240
O 4.240 -6.473 -4.240
```

---

(two)
Compound: BaSrTbSbO6
Source: Materials Project
Functional: GGA-PBE
Structure: optimized geometry

Computed properties:
- total magnetization (μB per cell) = 0.00
- volume (Å³ per atom) = 15.079
- crystal system = triclinic
- space group = No. 2

Geometry as extended XYZ:
```
20
Lattice="5.976 0.010 0.010 0.012 5.976 -0.012 0.016 -0.016 8.444" Properties=species:S:1:pos:R:3 pbc="T T T"
O 0.403 2.984 1.979
Sb 0.006 2.988 -0.006
O 1.291 1.431 8.203
Ba 0.045 5.874 6.322
O 2.721 5.840 2.225
Sb 2.996 -0.003 4.227
O 5.601 2.987 6.462
O 4.411 1.753 0.294
O 1.456 1.273 4.424
Ba 5.959 0.097 2.119
O 4.548 4.698 4.017
Sr 2.988 2.830 6.320
O 1.781 4.382 4.484
Tb 2.988 0.005 0.005
O 4.223 1.588 3.956
O 4.713 4.540 0.238
Tb 0.014 2.980 4.216
O 3.282 0.130 6.216
O 1.592 4.217 8.147
Sr 3.016 3.140 2.121
```

---

Stability ranking, top and bottom: (two) is the most stable and (one) is the least stable.

---

(one)
Compound: Ca3SiBr2
Source: Materials Project
Functional: GGA-PBE
Structure: optimized geometry

Computed properties:
- total magnetization (μB per cell) = 0.02
- volume (Å³ per atom) = 36.148
- crystal system = trigonal
- space group = No. 166

Geometry as extended XYZ:
```
6
Lattice="1.935 9.658 -7.906 -2.551 9.341 -8.110 -0.609 11.673 -4.785" Properties=species:S:1:pos:R:3 pbc="T T T"
Ca -0.161 4.040 -2.740
Br -0.866 21.691 -14.711
Ca -1.064 26.632 -18.061
Ca 0.000 0.000 0.000
Br -0.359 8.980 -6.090
Si -0.612 15.336 -10.400
```

---

(two)
Compound: Ca3SiBr2
Source: Materials Project
Functional: GGA-PBE
Structure: optimized geometry

Computed properties:
- total magnetization (μB per cell) = 0.00
- volume (Å³ per atom) = 29.714
- crystal system = orthorhombic
- space group = No. 71

Geometry as extended XYZ:
```
6
Lattice="-2.199 2.960 6.846 2.199 -2.960 6.846 2.199 2.960 -6.846" Properties=species:S:1:pos:R:3 pbc="T T T"
Ca 0.000 0.000 0.000
Si 0.000 2.960 0.000
Ca 0.000 0.000 8.713
Ca 0.000 0.000 4.979
Br 0.000 2.960 4.418
Br 2.199 0.000 2.428
```

---

Stability ranking, top and bottom: (two) is the most stable and (one) is the least stable.

---

(one)
Compound: YTi2O4
Source: Materials Project
Functional: GGA-PBE
Structure: optimized geometry

Computed properties:
- total magnetization (μB per cell) = 0.00
- volume (Å³ per atom) = 12.613
- crystal system = orthorhombic
- space group = No. 74

Geometry as extended XYZ:
```
14
Lattice="-3.046 3.259 4.447 3.046 -3.259 4.447 3.046 3.259 -4.447" Properties=species:S:1:pos:R:3 pbc="T T T"
Y 3.046 0.000 0.000
O 0.000 0.043 6.772
Ti 3.046 1.630 3.316
Ti 1.523 -1.630 2.223
O 3.046 3.216 -2.325
O 1.604 1.630 4.529
O 1.604 -1.630 4.364
O 3.046 -0.043 2.325
O 1.442 1.630 -0.083
Ti 0.000 1.630 1.131
O 1.442 4.889 0.083
Y 0.000 0.000 4.447
O 0.000 3.303 2.122
Ti 1.523 1.630 -2.223
```

---

(two)
Compound: YTi2O4
Source: Materials Project
Functional: GGA-PBE
Structure: optimized geometry

Computed properties:
- total magnetization (μB per cell) = 0.74
- volume (Å³ per atom) = 12.255
- crystal system = orthorhombic
- space group = No. 74

Geometry as extended XYZ:
```
14
Lattice="5.700 2.450 -0.026 -0.069 -0.331 6.195 -0.929 -5.091 -3.422" Properties=species:S:1:pos:R:3 pbc="T T T"
O 0.474 -4.623 1.178
Ti 2.351 -1.486 1.374
O 3.704 -0.670 0.022
O 3.767 -0.860 2.852
Y 0.000 0.000 0.000
Y 2.385 -1.321 -1.724
Ti 2.816 1.059 3.084
O 4.228 1.650 1.569
O 0.998 -2.303 2.725
O 3.051 -3.439 1.241
Ti -0.499 -2.711 1.387
O 0.936 -2.113 -0.105
Ti 2.850 1.225 -0.013
O 1.651 0.467 1.507
```

---

Stability ranking, top and bottom: (two) is the most stable and (one) is the least stable.